Entry 1:
An optimized crystal structure of Rb3GaO3, computed with GGA-PBE.

For the density, the calculation gives 4.21 g/cm³. For the total energy after the MP2020 corrections, the calculation gives -67.246 eV/cell. The energy relative to the elements comes out at -1.8299 eV/atom.

Lattice parameters (Å, degrees): 6.9489 6.9489 6.9269 82.80 82.80 114.92
Closest atoms and distances in Å follow each position.
Atoms (fractional coordinates):
Rb 0.2599 0.7401 0.0000  4 O 2.89-3.00
Rb 0.7401 0.2599 0.0000  4 O 2.89-3.00
Rb 0.1966 0.8034 0.5000  4 O 2.85-3.05
Rb 0.8034 0.1966 0.5000  4 O 2.85-3.05
Rb 0.3721 0.3721 0.3451  5 O 2.73-3.04
Rb 0.6279 0.6279 0.6549  5 O 2.73-3.04
Ga 0.8359 0.8359 0.1490  4 O 1.86-1.96
Ga 0.1641 0.1641 0.8510  4 O 1.86-1.96
O 0.4144 0.1519 0.7344  1 Ga 1.86
O 0.1519 0.4144 0.7344  1 Ga 1.86
O 0.0991 0.0991 0.1422  2 Ga 1.96
O 0.5856 0.8481 0.2656  1 Ga 1.86
O 0.8481 0.5856 0.2656  1 Ga 1.86
O 0.9009 0.9009 0.8578  2 Ga 1.96



Entry 2:
An optimized crystal structure of Hf3Pb, computed with GGA-PBE.

For the density, the calculation gives 13.72 g/cm³. The energy relative to the elements comes out at -0.0103 eV/atom.

Lattice parameters (Å, degrees): 4.4799 4.4799 4.4799 90.00 90.00 90.00
Closest atoms and distances in Å follow each position.
Atoms (fractional coordinates):
Hf 0.5000 0.5000 0.0000  8 Hf 3.17, 4 Pb 3.17
Hf 0.0000 0.5000 0.5000  8 Hf 3.17, 4 Pb 3.17
Hf 0.5000 0.0000 0.5000  8 Hf 3.17, 4 Pb 3.17
Pb 0.0000 0.0000 0.0000  12 Hf 3.17



Entry 3:
An optimized crystal structure of Na10Zr4Zn4Si5S7O48, computed with GGA-PBE.

For the density, the calculation gives 3.01 g/cm³. For the total energy after the MP2020 corrections, the calculation gives -1617.629 eV/cell. The energy relative to the elements comes out at -2.4765 eV/atom.

Lattice parameters (Å, degrees): 18.1594 9.1467 22.9750 89.90 88.37 120.23
Closest atoms and distances in Å follow each position.
Atoms (fractional coordinates):
S 0.9997 0.2919 0.2508  4 O 1.46-1.53
S 0.5195 0.3663 0.9189  4 O 1.44-1.54
S 0.6683 0.3756 0.4174  4 O 1.47-1.51
S 0.1664 0.3732 0.4181  4 O 1.45-1.52
S 0.1880 0.0398 0.5847  4 O 1.46-1.52
S 0.1880 0.3363 0.0860  4 O 1.46-1.51
S 0.3531 0.7050 0.2512  4 O 1.45-1.52
S 0.8327 0.6271 0.5843  4 O 1.48-1.52
S 0.3537 0.0008 0.7509  4 O 1.46-1.51
S 0.1678 0.9604 0.9177  4 O 1.46-1.52
S 0.8536 0.0009 0.7512  4 O 1.46-1.51
S 0.6882 0.0397 0.5852  4 O 1.47-1.51
S 0.6872 0.3364 0.0851  4 O 1.46-1.51
S 0.3326 0.6278 0.5849  4 O 1.47-1.51
S 0.0198 0.6685 0.4180  4 O 1.46-1.52
S 0.6680 0.9608 0.9177  4 O 1.46-1.52
S 0.8549 0.7076 0.2507  4 O 1.46-1.51
S 0.3325 0.0380 0.0847  4 O 1.47-1.51
S 0.0199 0.3671 0.9191  4 O 1.44-1.54
S 0.8334 0.0399 0.0846  4 O 1.46-1.52
S 0.5211 0.6738 0.4182  4 O 1.45-1.54
O 0.6536 0.8508 0.9678  1 S 1.46
O 0.2590 0.6541 0.5799  1 S 1.48
O 0.7471 0.3633 0.4230  1 S 1.50
O 0.7299 0.3094 0.0322  1 S 1.51
O 0.6545 0.8326 0.2555  1 Si 1.67
O 0.0160 0.8331 0.6957  1 Si 1.67
O 0.4208 0.5342 0.0275  1 Si 1.71
O 0.0999 0.1812 0.0902  1 S 1.51
O 0.1530 0.8500 0.9680  1 S 1.46
O 0.9189 0.3058 0.5303  1 Si 1.69
O 0.1014 0.0233 0.5865  1 S 1.50
O 0.0702 0.4531 0.9687  1 S 1.45
O 0.2459 0.3582 0.4219  1 S 1.52
O 0.2664 0.6930 0.2573  1 S 1.52
O 0.2668 0.8425 0.7569  1 S 1.51
O 0.7300 0.1504 0.5322  1 S 1.50
O 0.9120 0.9811 0.4107  1 Si 1.62
O 0.1524 0.8253 0.2577  1 Si 1.73
O 0.3416 0.5369 0.2438  1 S 1.45
O 0.2369 0.1214 0.6360  1 S 1.46
O 0.9832 0.8073 0.0899  1 Si 1.72
O 0.0896 0.6959 0.7571  1 Si 1.68
O 0.0086 0.2007 0.9106  1 S 1.44
O 0.9332 0.3574 0.9238  1 S 1.53
O 0.9832 0.1542 0.5879  1 Si 1.69
O 0.6804 0.8732 0.5786  1 S 1.47
O 0.8201 0.5287 0.6385  1 S 1.48
O 0.4337 0.5099 0.4234  1 S 1.54
O 0.3191 0.1451 0.4237  1 Si 1.73
O 0.4365 0.5218 0.1438  1 Si 1.62
O 0.0788 0.4672 0.2552  1 S 1.53
O 0.3903 0.8143 0.1967  1 S 1.51
O 0.3427 0.1449 0.0323  1 S 1.50
O 0.7668 0.6870 0.9792  1 Si 1.61
O 0.5574 0.4789 0.8638  1 S 1.54
O 0.2537 0.8679 0.3627  1 Si 1.70
O 0.3397 0.1445 0.7439  1 S 1.47
O 0.6012 0.1795 0.0870  1 S 1.50
O 0.1582 0.4817 0.7563  1 Si 1.69
O 0.7473 0.1312 0.9228  1 S 1.51
O 0.6041 0.0365 0.3078  1 Si 1.60
O 0.5854 0.2112 0.6953  1 Si 1.68
O 0.9134 0.8371 0.9149  1 Si 1.63
O 0.5895 0.6961 0.7571  1 Si 1.68
O 0.4062 0.0270 0.8010  1 S 1.46
O 0.7549 0.8632 0.3636  1 Si 1.67
O 0.4826 0.1534 0.5876  1 Si 1.69
O 0.4217 0.3079 0.5275  1 Si 1.71
O 0.0829 0.9658 0.1983  1 Si 1.68
O 0.0584 0.6377 0.3629  1 S 1.52
O 0.1802 0.4870 0.0788  1 S 1.46
O 0.4783 0.1803 0.3107  1 Si 1.62
O 0.2387 0.3538 0.1362  1 S 1.46
O 0.9354 0.5163 0.1456  1 Si 1.62
O 0.2417 0.3084 0.7418  1 Si 1.63
O 0.7418 0.3088 0.7420  1 Si 1.63
O 0.7358 0.1185 0.6377  1 S 1.47
O 0.6581 0.4818 0.7565  1 Si 1.69
O 0.5787 0.5069 0.5748  1 Si 1.61
O 0.6012 0.0229 0.5870  1 S 1.51
O 0.0852 0.2099 0.6951  1 Si 1.67
O 0.2470 0.1303 0.9227  1 S 1.50
O 0.5922 0.2048 0.4135  1 S 1.48
O 0.9200 0.5339 0.0287  1 Si 1.69
O 0.5925 0.9800 0.9133  1 S 1.47
O 0.4793 0.7768 0.8107  1 Si 1.61
O 0.5084 0.8163 0.4102  1 S 1.45
O 0.4123 0.9903 0.4146  1 Si 1.62
O 0.1808 0.8737 0.5781  1 S 1.47
O 0.9130 0.0253 0.0890  1 S 1.52
O 0.8438 0.5422 0.5325  1 S 1.49
O 0.3912 0.9682 0.6966  1 S 1.51
O 0.4368 0.3508 0.6437  1 Si 1.62
O 0.9077 0.7908 0.3004  1 S 1.46
O 0.3253 0.5009 0.9230  1 Si 1.72
O 0.9061 0.0269 0.8014  1 S 1.46
O 0.5705 0.6879 0.4686  1 S 1.45
O 0.2587 0.8642 0.0802  1 S 1.48
O 0.7712 0.8507 0.4805  1 Si 1.62
O 0.5900 0.4829 0.2571  1 Si 1.67
O 0.9115 0.8015 0.5879  1 S 1.52
O 0.7669 0.6842 0.2559  1 S 1.50
O 0.4830 0.8120 0.0876  1 Si 1.70
O 0.7668 0.8425 0.7571  1 S 1.51
O 0.6796 0.4761 0.3623  1 S 1.51
O 0.4046 0.7855 0.3016  1 S 1.46
O 0.2670 0.6867 0.9789  1 Si 1.61
O 0.4190 0.3250 0.2475  1 Si 1.63
O 0.5150 0.1971 0.1961  1 Si 1.67
O 0.8928 0.8136 0.1959  1 S 1.51
O 0.9267 0.3206 0.2464  1 S 1.48
O 0.4112 0.0218 0.0873  1 S 1.51
O 0.7433 0.1855 0.2414  1 Si 1.63
O 0.5087 0.2007 0.9104  1 S 1.44
O 0.8225 0.1447 0.4226  1 Si 1.71
O 0.1544 0.4515 0.4697  1 S 1.45
O 0.7590 0.6536 0.5805  1 S 1.48
O 0.7579 0.6474 0.8613  1 Si 1.68
O 0.4184 0.5134 0.7478  1 Si 1.64
O 0.6004 0.1694 0.8084  1 Si 1.60
O 0.7606 0.8661 0.0803  1 S 1.48
O 0.8912 0.9682 0.6970  1 S 1.51
O 0.3198 0.5282 0.6383  1 S 1.47
O 0.2261 0.3046 0.0314  1 S 1.51
O 0.8396 0.1444 0.7443  1 S 1.47
O 0.5154 0.8327 0.6957  1 Si 1.67
O 0.5703 0.4528 0.9684  1 S 1.45
O 0.8205 0.1164 0.1366  1 S 1.46
O 0.9330 0.5145 0.4229  1 S 1.50
O 0.0115 0.2111 0.1976  1 S 1.49
O 0.2291 0.1482 0.5304  1 S 1.52
O 0.8256 0.5018 0.9234  1 Si 1.72
O 0.4115 0.8005 0.5875  1 S 1.51
O 0.2579 0.6476 0.8610  1 Si 1.68
O 0.9795 0.7768 0.8108  1 Si 1.61
O 0.2640 0.8448 0.4790  1 Si 1.61
O 0.4329 0.3567 0.9236  1 S 1.53
O 0.0136 0.8206 0.4110  1 S 1.46
O 0.1008 0.1699 0.8084  1 Si 1.60
O 0.3431 0.5409 0.5326  1 S 1.50
O 0.1780 0.4786 0.3645  1 S 1.51
O 0.5880 0.9664 0.1945  1 Si 1.68
O 0.8451 0.1456 0.0314  1 S 1.50
O 0.3202 0.1125 0.1381  1 S 1.47
O 0.6803 0.4876 0.0780  1 S 1.46
O 0.7363 0.3552 0.1370  1 S 1.47
O 0.8451 0.5388 0.2446  1 S 1.47
O 0.0779 0.6488 0.0759  1 Si 1.61
O 0.0938 0.1995 0.4132  1 S 1.47
O 0.0781 0.5062 0.5761  1 Si 1.62
O 0.0992 0.0183 0.3136  1 Si 1.61
O 0.9387 0.3518 0.6457  1 Si 1.62
O 0.1795 0.8825 0.8625  1 S 1.52
O 0.5580 0.6360 0.3636  1 S 1.53
O 0.9876 0.1905 0.3032  1 S 1.46
O 0.2433 0.1622 0.2436  1 Si 1.61
O 0.0729 0.6887 0.4673  1 S 1.46
O 0.5784 0.6506 0.0751  1 Si 1.62
O 0.0573 0.4788 0.8640  1 S 1.54
O 0.9183 0.5136 0.7477  1 Si 1.63
O 0.6529 0.4558 0.4678  1 S 1.47
O 0.6801 0.8837 0.8624  1 S 1.52
O 0.0922 0.9795 0.9135  1 S 1.47
O 0.4133 0.8370 0.9145  1 Si 1.63
Zr 0.3386 0.3303 0.4820  4 O 1.95-2.12
Zr 0.6713 0.6886 0.3137  5 O 1.96-2.18
Zr 0.6675 0.6549 0.8157  5 O 2.00-2.18
Zr 0.8377 0.3184 0.4797  4 O 1.95-2.16
Zr 0.0065 0.9920 0.1467  4 O 1.95-2.16
Zr 0.5097 0.0165 0.6484  4 O 1.96-2.13
Zr 0.1696 0.6780 0.3164  5 O 1.98-2.20
Zr 0.1674 0.6548 0.8156  5 O 2.00-2.18
Zr 0.3350 0.3484 0.9817  4 O 1.96-2.16
Zr 0.5086 0.0015 0.1491  4 O 1.95-2.15
Zr 0.0085 0.0148 0.6481  4 O 1.97-2.14
Zr 0.8352 0.3479 0.9809  4 O 1.98-2.15
Na 0.8235 0.2996 0.3309  4 O 2.47-2.72
Na 0.4978 0.6237 0.2415  5 O 2.36-2.61
Na 0.6766 0.3478 0.2517  2 O 2.35-2.44
Na 0.9971 0.6322 0.2424  5 O 2.44-2.62
Na 0.3289 0.3267 0.3237  3 O 2.37-2.58
Na 0.3334 0.9687 0.5756  5 O 2.39-2.58
Na 0.3272 0.3407 0.8288  3 O 2.43-2.62
Na 0.6529 0.6428 0.6576  2 O 2.34-2.54
Na 0.8219 0.6183 0.7516  3 O 2.38-2.58
Na 0.1566 0.6627 0.1573  3 O 2.35-2.58
Na 0.4852 0.2842 0.4101  3 O 2.32-2.46
Na 0.8310 0.6970 0.0748  5 O 2.42-2.62
Na 0.6780 0.0094 0.7499  3 O 2.38-2.55
Na 0.9899 0.0042 0.4937  3 O 2.35-2.60
Na 0.1640 0.0291 0.4094  5 O 2.42-2.62
Na 0.1511 0.6404 0.6586  2 O 2.32-2.58
Na 0.9975 0.0016 0.9918  3 O 2.36-2.54
Na 0.4968 0.3703 0.7415  5 O 2.37-2.61
Na 0.8330 0.9685 0.5741  5 O 2.41-2.58
Na 0.1772 0.0087 0.7505  3 O 2.38-2.56
Na 0.4968 0.9978 0.9942  4 O 2.39-2.66
Na 0.3239 0.0273 0.2502  2 O 2.35-2.38
Na 0.5001 0.9986 0.4932  4 O 2.42-2.69
Na 0.9829 0.6844 0.9111  4 O 2.31-2.49
Na 0.4826 0.6840 0.9118  4 O 2.30-2.48
Na 0.8273 0.3406 0.8280  3 O 2.41-2.65
Na 0.3338 0.6984 0.0755  5 O 2.39-2.58
Na 0.6545 0.6698 0.1604  4 O 2.39-2.66
Na 0.9963 0.3703 0.7408  5 O 2.37-2.62
Na 0.3220 0.6187 0.7525  3 O 2.39-2.58
Si 0.3156 0.9530 0.4216  4 O 1.61-1.73
Si 0.4848 0.6285 0.0850  4 O 1.62-1.71
Si 0.5004 0.2962 0.2524  4 O 1.62-1.67
Si 0.1471 0.0083 0.2549  4 O 1.61-1.73
Si 0.0000 0.7050 0.7523  4 O 1.61-1.68
Si 0.8169 0.9529 0.4202  4 O 1.62-1.71
Si 0.6514 0.0123 0.2518  4 O 1.60-1.68
Si 0.4857 0.3415 0.5851  4 O 1.61-1.71
Si 0.9845 0.3407 0.5858  4 O 1.62-1.69
Si 0.1477 0.2881 0.7524  4 O 1.60-1.69
Si 0.8156 0.6794 0.9206  4 O 1.61-1.72
Si 0.5001 0.7053 0.7523  4 O 1.61-1.68
Si 0.3158 0.6787 0.9204  4 O 1.61-1.72
Si 0.6479 0.2884 0.7527  4 O 1.60-1.69
Si 0.9833 0.6199 0.0860  4 O 1.61-1.72
Zn 0.9958 0.0075 0.3500  4 O 1.96-2.17
Zn 0.3443 0.3624 0.6838  4 O 1.94-2.10
Zn 0.1657 0.6734 0.0161  3 O 1.95-2.07
Zn 0.9993 0.9847 0.8472  3 O 1.94-2.10
Zn 0.3414 0.3280 0.1848  4 O 1.96-2.11
Zn 0.6643 0.6714 0.0161  4 O 1.96-2.19
Zn 0.6672 0.6587 0.5152  3 O 1.96-2.06
Zn 0.4991 0.9847 0.8477  3 O 1.95-2.09
Zn 0.1626 0.6515 0.5159  4 O 1.96-2.16
Zn 0.8350 0.3182 0.1806  3 O 1.96-2.01
Zn 0.8445 0.3636 0.6826  4 O 1.94-2.12
Zn 0.5025 0.0168 0.3461  3 O 1.94-2.16



Entry 4:
An optimized crystal structure of BaSrI4, computed with GGA-PBE.

For the density, the calculation gives 4.14 g/cm³. For the total energy after the MP2020 corrections, the calculation gives -127.065 eV/cell. The energy relative to the elements comes out at -1.9122 eV/atom.

Lattice parameters (Å, degrees): 14.4327 14.4327 14.4327 114.47 114.47 114.47
Closest atoms and distances in Å follow each position.
Atoms (fractional coordinates):
I 0.2733 0.5915 0.2517  2 Sr 3.28-3.48, 1 Ba 3.56
I 0.1017 0.9088 0.0784  1 Sr 3.16, 1 Ba 3.32
I 0.3845 0.0733 0.6543  2 Sr 3.31-3.53, 1 Ba 3.52
I 0.4088 0.6017 0.5784  1 Sr 3.16, 1 Ba 3.32
I 0.0915 0.7733 0.7517  2 Sr 3.28-3.48, 1 Ba 3.56
I 0.5915 0.2517 0.2733  2 Sr 3.28-3.48, 1 Ba 3.56
I 0.5784 0.4088 0.6017  1 Sr 3.16, 1 Ba 3.32
I 0.0733 0.6543 0.3845  2 Sr 3.31-3.53, 1 Ba 3.52
I 0.5733 0.8845 0.1543  2 Sr 3.31-3.53, 1 Ba 3.52
I 0.6017 0.5784 0.4088  1 Sr 3.16, 1 Ba 3.32
I 0.1543 0.5733 0.8845  2 Sr 3.31-3.53, 1 Ba 3.52
I 0.6543 0.3845 0.0733  2 Sr 3.31-3.53, 1 Ba 3.52
I 0.0784 0.1017 0.9088  1 Sr 3.16, 1 Ba 3.32
I 0.8930 0.4953 0.9638  1 Sr 3.29, 1 Ba 3.60
I 0.9088 0.0784 0.1017  1 Sr 3.16, 1 Ba 3.32
I 0.7733 0.7517 0.0915  2 Sr 3.28-3.48, 1 Ba 3.56
I 0.4638 0.9953 0.3930  1 Sr 3.29, 1 Ba 3.60
I 0.7517 0.0915 0.7733  2 Sr 3.28-3.48, 1 Ba 3.56
I 0.9638 0.8930 0.4953  1 Sr 3.29, 1 Ba 3.60
I 0.4953 0.9638 0.8930  1 Sr 3.29, 1 Ba 3.60
I 0.9953 0.3930 0.4638  1 Sr 3.29, 1 Ba 3.60
I 0.3930 0.4638 0.9953  1 Sr 3.29, 1 Ba 3.60
I 0.2517 0.2733 0.5915  2 Sr 3.28-3.48, 1 Ba 3.56
I 0.8845 0.1543 0.5733  2 Sr 3.31-3.53, 1 Ba 3.52
Ba 0.6081 0.7842 0.3572  5 I 3.32-3.72
Ba 0.2842 0.1081 0.8572  5 I 3.32-3.72
Ba 0.7842 0.3572 0.6081  5 I 3.32-3.72
Ba 0.1081 0.8572 0.2842  5 I 3.32-3.72
Ba 0.8572 0.2842 0.1081  5 I 3.32-3.72
Ba 0.3572 0.6081 0.7842  5 I 3.32-3.72
Sr 0.3299 0.9165 0.0945  6 I 3.16-3.53
Sr 0.9165 0.0945 0.3299  6 I 3.16-3.53
Sr 0.8299 0.5945 0.4165  6 I 3.16-3.53
Sr 0.5945 0.4165 0.8299  6 I 3.16-3.53
Sr 0.0945 0.3299 0.9165  6 I 3.16-3.53
Sr 0.4165 0.8299 0.5945  6 I 3.16-3.53



Entry 5:
An optimized crystal structure of Ba2SmSeO6, computed with GGA-PBE.

For the density, the calculation gives 6.46 g/cm³. For the total energy after the MP2020 corrections, the calculation gives -68.045 eV/cell. The energy relative to the elements comes out at -2.6304 eV/atom.

Lattice parameters (Å, degrees): 6.0193 6.0193 6.0193 60.00 60.00 60.00
Closest atoms and distances in Å follow each position.
Atoms (fractional coordinates):
Ba 0.2500 0.2500 0.2500  12 O 3.01
Ba 0.7500 0.7500 0.7500  12 O 3.01
O 0.2314 0.7686 0.7686  1 Se 1.97
O 0.7686 0.2314 0.7686  1 Se 1.97
O 0.7686 0.7686 0.2314  1 Se 1.97
O 0.2314 0.7686 0.2314  1 Se 1.97
O 0.7686 0.2314 0.2314  1 Se 1.97
O 0.2314 0.2314 0.7686  1 Se 1.97
Se 0.0000 0.0000 0.0000  6 O 1.97
Sm 0.5000 0.5000 0.5000  6 O 2.29



Entry 6:
An optimized crystal structure of Tm2AgHg, computed with GGA-PBE.

For the density, the calculation gives 11.17 g/cm³. The energy relative to the elements comes out at -0.4147 eV/atom.

Lattice parameters (Å, degrees): 5.1414 5.1414 5.1414 60.00 60.00 60.00
Closest atoms and distances in Å follow each position.
Atoms (fractional coordinates):
Hg 0.0000 0.0000 0.0000  8 Tm 3.15
Tm 0.7500 0.7500 0.7500  4 Hg 3.15, 4 Ag 3.15
Tm 0.2500 0.2500 0.2500  4 Hg 3.15, 4 Ag 3.15
Ag 0.5000 0.5000 0.5000  8 Tm 3.15



Number 1: calculated volume 147.5 Å³/f.u.. Number 2: calculated volume 89.9 Å³/f.u.. Number 3: calculated volume 1098.5 Å³/f.u.. Number 4: calculated volume 293.6 Å³/f.u.. Number 5: calculated volume 154.2 Å³/f.u.. Number 6: calculated volume 96.1 Å³/f.u..